Record 1
CsUO3F3 (GGA-PBE, optimized geometry); space-group type = P2_1/c, No. 14; raw total energy = -6.54 eV/atom; formation energy from the elements = -2871 meV/atom
1.0
6.178 0.000 0.000
0.000 11.695 0.000
-0.769 0.000 9.437
Cs U O F
4 4 12 12
direct
0.085 0.213 0.488
0.085 0.287 0.988
0.915 0.713 0.012
0.915 0.787 0.512
0.393 0.539 0.305
0.393 0.961 0.805
0.607 0.039 0.195
0.607 0.461 0.695
0.164 0.058 0.823
0.164 0.442 0.323
0.366 0.126 0.217
0.366 0.374 0.717
0.465 0.612 0.835
0.465 0.888 0.335
0.535 0.112 0.665
0.535 0.388 0.165
0.634 0.626 0.283
0.634 0.874 0.783
0.836 0.558 0.677
0.836 0.942 0.177
0.182 0.687 0.291
0.182 0.813 0.791
0.297 0.532 0.072
0.297 0.968 0.572
0.406 0.591 0.545
0.406 0.909 0.045
0.594 0.091 0.955
0.594 0.409 0.455
0.703 0.032 0.428
0.703 0.468 0.928
0.818 0.187 0.209
0.818 0.313 0.709

---

Record 2
Sr4Ta2O9 (GGA-PBE, optimized geometry); space-group type = P-1, No. 2; raw total energy = -8.02 eV/atom; distance to the lowest polymorph of the same formula = 0.00 eV/f.u.; formation energy from the elements = -3427 meV/atom
1.0
5.949 0.000 0.000
2.974 5.159 0.000
0.010 0.012 15.841
Sr Ta O
8 4 18
direct
0.000 0.000 0.000
0.000 0.000 0.500
0.001 0.998 0.244
0.333 0.336 0.368
0.334 0.331 0.144
0.666 0.669 0.856
0.667 0.664 0.632
0.999 0.002 0.756
0.333 0.335 0.840
0.335 0.330 0.650
0.665 0.670 0.350
0.667 0.665 0.160
0.042 0.555 0.746
0.079 0.273 0.599
0.081 0.270 0.893
0.267 0.653 0.893
0.283 0.635 0.594
0.349 0.916 0.107
0.355 0.927 0.402
0.405 0.041 0.747
0.446 0.595 0.254
0.554 0.405 0.746
0.595 0.959 0.253
0.645 0.073 0.598
0.651 0.084 0.893
0.717 0.365 0.406
0.733 0.347 0.107
0.919 0.730 0.107
0.921 0.727 0.401
0.958 0.445 0.254

---

Record 3
ScSi2Rh (GGA-PBE, optimized geometry); space-group type = Pnma, No. 62; raw total energy = -7.05 eV/atom; formation energy from the elements = -915 meV/atom
1.0
6.346 0.000 0.000
0.000 4.044 0.000
0.000 0.000 9.582
Sc Si Rh
4 8 4
direct
0.240 0.250 0.182
0.260 0.750 0.682
0.740 0.250 0.318
0.760 0.750 0.818
0.043 0.750 0.342
0.231 0.250 0.471
0.269 0.750 0.971
0.457 0.250 0.842
0.543 0.750 0.158
0.731 0.250 0.029
0.769 0.750 0.529
0.957 0.250 0.658
0.084 0.250 0.900
0.416 0.750 0.400
0.584 0.250 0.600
0.916 0.750 0.100

---

Record 4
Ho6Ni20P13 (GGA-PBE, optimized geometry); space-group type = P-6, No. 174; raw total energy = -6.39 eV/atom; formation energy from the elements = -917 meV/atom
1.0
12.623 0.000 0.000
-6.312 10.932 0.000
0.000 0.000 3.733
Ho Ni P
6 20 13
direct
0.052 0.857 0.000
0.143 0.195 0.000
0.522 0.137 0.500
0.615 0.478 0.500
0.805 0.948 0.000
0.863 0.385 0.500
0.000 0.000 0.500
0.013 0.589 0.000
0.084 0.347 0.500
0.174 0.585 0.500
0.230 0.759 0.000
0.241 0.471 0.000
0.263 0.916 0.500
0.313 0.085 0.000
0.353 0.253 0.500
0.410 0.826 0.500
0.411 0.424 0.000
0.415 0.590 0.500
0.529 0.770 0.000
0.576 0.987 0.000
0.653 0.737 0.500
0.667 0.333 0.000
0.747 0.100 0.500
0.772 0.687 0.000
0.900 0.647 0.500
0.915 0.228 0.000
0.049 0.432 0.000
0.102 0.717 0.500
0.196 0.055 0.500
0.283 0.385 0.500
0.333 0.667 0.000
0.383 0.951 0.000
0.471 0.282 0.000
0.568 0.617 0.000
0.615 0.898 0.500
0.718 0.190 0.000
0.810 0.529 0.000
0.859 0.804 0.500
0.945 0.141 0.500